[1]
Entry from the Materials Project: a geometry-optimized MgGa2 structure (PBE-GGA).

total DFT energy (no corrections) = -2.590 eV/atom
spin magnetization = 0.0 μB per formula unit
space-group type = C2/m, No. 12
ΔH_f (0 K) = -0.1 eV/f.u.

Lattice parameters (Å, degrees): 5.666 5.666 7.054 106.55 106.55 32.67
Element x y z (fractional)
Mg (0.139, 0.139, 0.033)
Mg (0.861, 0.861, 0.967)
Ga (0.190, 0.190, 0.630)
Ga (0.472, 0.472, 0.685)
Ga (0.528, 0.528, 0.315)
Ga (0.810, 0.810, 0.370)


[2]
Entry from the Materials Project: a geometry-optimized MgGa2 structure (PBE-GGA).

total DFT energy (no corrections) = -2.615 eV/atom
spin magnetization = 0.0 μB per formula unit
space-group type = C2/m, No. 12
ΔH_f (0 K) = -0.2 eV/f.u.

Lattice parameters (Å, degrees): 5.611 5.611 7.228 108.66 108.66 32.92
Element x y z (fractional)
Mg (0.189, 0.189, 0.147)
Mg (0.811, 0.811, 0.853)
Ga (0.134, 0.134, 0.526)
Ga (0.473, 0.473, 0.204)
Ga (0.527, 0.527, 0.796)
Ga (0.866, 0.866, 0.474)


[3]
Entry from the Materials Project: a geometry-optimized MgGa structure (PBE-GGA).

total DFT energy (no corrections) = -2.419 eV/atom
space-group type = Amm2, No. 38
ΔH_f (0 K) = -0.2 eV/f.u.

Lattice parameters (Å, degrees): 4.978 7.783 7.783 22.97 90.00 90.00
Element x y z (fractional)
Mg (0.000, 0.000, 0.000)
Mg (0.000, 0.326, 0.326)
Mg (0.500, 0.116, 0.116)
Ga (0.000, 0.667, 0.667)
Ga (0.500, 0.443, 0.443)
Ga (0.500, 0.778, 0.778)


[4]
Entry from the Materials Project: a geometry-optimized MgGa2 structure (PBE-GGA).

total DFT energy (no corrections) = -2.577 eV/atom
spin magnetization = 0.0 μB per formula unit
space-group type = P6_3/mmc, No. 194
ΔH_f (0 K) = -0.1 eV/f.u.

Lattice parameters (Å, degrees): 3.040 3.040 14.794 90.00 90.00 120.00
Element x y z (fractional)
Mg (0.333, 0.667, 0.250)
Mg (0.667, 0.333, 0.750)
Ga (0.333, 0.667, 0.583)
Ga (0.333, 0.667, 0.917)
Ga (0.667, 0.333, 0.083)
Ga (0.667, 0.333, 0.417)


[5]
Entry from the Materials Project: a geometry-optimized MgGa3 structure (PBE-GGA).

total DFT energy (no corrections) = -2.720 eV/atom
space-group type = Imm2, No. 44
ΔH_f (0 K) = -0.2 eV/f.u.

Lattice parameters (Å, degrees): 5.493 5.493 5.493 146.00 69.29 121.64
Element x y z (fractional)
Mg (0.000, 0.000, 0.000)
Ga (0.413, 0.661, 0.752)
Ga (0.503, 0.003, 0.500)
Ga (0.908, 0.661, 0.248)


[6]
Entry from the Materials Project: a geometry-optimized Mg2Ga structure (PBE-GGA).

total DFT energy (no corrections) = -2.148 eV/atom
space-group type = R32, No. 155
ΔH_f (0 K) = -0.2 eV/f.u.

Lattice parameters (Å, degrees): 5.777 5.777 5.777 56.10 56.10 56.10
Element x y z (fractional)
Mg (0.000, 0.000, 0.000)
Mg (0.170, 0.830, 0.500)
Mg (0.500, 0.170, 0.830)
Mg (0.830, 0.500, 0.170)
Ga (0.335, 0.335, 0.335)
Ga (0.665, 0.665, 0.665)


[7]
Entry from the Materials Project: a geometry-optimized MgGa structure (PBE-GGA).

total DFT energy (no corrections) = -2.403 eV/atom
space-group type = C2, No. 5
ΔH_f (0 K) = -0.2 eV/f.u.

Lattice parameters (Å, degrees): 5.305 5.305 5.630 115.90 115.90 59.48
Element x y z (fractional)
Mg (0.000, 0.000, 0.000)
Mg (0.179, 0.491, 0.498)
Mg (0.509, 0.821, 0.502)
Ga (0.342, 0.329, 0.003)
Ga (0.671, 0.658, 0.997)
Ga (0.845, 0.155, 0.500)


[8]
Entry from the Materials Project: a geometry-optimized MgGa structure (PBE-GGA).

total DFT energy (no corrections) = -2.438 eV/atom
space-group type = Pmma, No. 51
ΔH_f (0 K) = -0.2 eV/f.u.

Lattice parameters (Å, degrees): 4.747 3.348 4.904 90.00 90.00 90.00
Element x y z (fractional)
Mg (0.250, 0.000, 0.198)
Mg (0.750, 0.000, 0.802)
Ga (0.250, 0.500, 0.686)
Ga (0.750, 0.500, 0.314)


[9]
Entry from the Materials Project: a geometry-optimized MgGa structure (PBE-GGA).

total DFT energy (no corrections) = -2.440 eV/atom
space-group type = Pm-3m, No. 221
ΔH_f (0 K) = -0.3 eV/f.u.

Lattice parameters (Å, degrees): 3.366 3.366 3.366 90.00 90.00 90.00
Element x y z (fractional)
Mg (0.000, 0.000, 0.000)
Ga (0.500, 0.500, 0.500)


[10]
Entry from the Materials Project: a geometry-optimized MgGa structure (PBE-GGA).

total DFT energy (no corrections) = -2.393 eV/atom
spin magnetization = 0.0 μB per formula unit
space-group type = Pmmn, No. 59
ΔH_f (0 K) = -0.2 eV/f.u.

Lattice parameters (Å, degrees): 3.251 5.134 4.831 90.00 90.00 90.00
Element x y z (fractional)
Mg (0.250, 0.250, 0.093)
Mg (0.750, 0.750, 0.907)
Ga (0.250, 0.750, 0.417)
Ga (0.750, 0.250, 0.583)


[11]
Entry from the Materials Project: a geometry-optimized Mg2Ga structure (PBE-GGA).

total DFT energy (no corrections) = -2.128 eV/atom
spin magnetization = 0.0 μB per formula unit
space-group type = Cmcm, No. 63
ΔH_f (0 K) = -0.2 eV/f.u.

Lattice parameters (Å, degrees): 7.989 7.989 5.323 90.00 90.00 158.18
Element x y z (fractional)
Mg (0.060, 0.940, 0.750)
Mg (0.380, 0.620, 0.750)
Mg (0.620, 0.380, 0.250)
Mg (0.940, 0.060, 0.250)
Ga (0.277, 0.723, 0.250)
Ga (0.723, 0.277, 0.750)


[12]
Entry from the Materials Project: a geometry-optimized MgGa structure (PBE-GGA).

total DFT energy (no corrections) = -2.033 eV/atom
spin magnetization = 0.0 μB per formula unit
space-group type = P6_3/mmc, No. 194
ΔH_f (0 K) = 0.6 eV/f.u.

Lattice parameters (Å, degrees): 4.906 4.906 5.344 90.00 90.00 120.00
Element x y z (fractional)
Mg (0.333, 0.667, 0.250)
Mg (0.667, 0.333, 0.750)
Ga (0.333, 0.667, 0.750)
Ga (0.667, 0.333, 0.250)


[13]
Entry from the Materials Project: a geometry-optimized Mg2Ga structure (PBE-GGA).

total DFT energy (no corrections) = -2.115 eV/atom
spin magnetization = 0.0 μB per formula unit
space-group type = Cmcm, No. 63
ΔH_f (0 K) = -0.1 eV/f.u.

Lattice parameters (Å, degrees): 8.129 8.129 4.976 90.00 90.00 158.16
Element x y z (fractional)
Mg (0.056, 0.944, 0.750)
Mg (0.277, 0.723, 0.250)
Mg (0.723, 0.277, 0.750)
Mg (0.944, 0.056, 0.250)
Ga (0.389, 0.611, 0.750)
Ga (0.611, 0.389, 0.250)


[14]
Entry from the Materials Project: a geometry-optimized MgGa structure (PBE-GGA).

total DFT energy (no corrections) = -2.176 eV/atom
spin magnetization = 0.0 μB per formula unit
space-group type = Fm-3m, No. 225
ΔH_f (0 K) = 0.3 eV/f.u.

Lattice parameters (Å, degrees): 3.996 3.996 3.996 60.00 60.00 60.00
Element x y z (fractional)
Mg (0.000, 0.000, 0.000)
Ga (0.500, 0.500, 0.500)


[15]
Entry from the Materials Project: a geometry-optimized MgGa5 structure (PBE-GGA).

total DFT energy (no corrections) = -2.818 eV/atom
space-group type = Cm, No. 8
ΔH_f (0 K) = -0.2 eV/f.u.

Lattice parameters (Å, degrees): 5.629 5.629 7.037 104.20 104.20 32.40
Element x y z (fractional)
Mg (0.000, 0.000, 0.000)
Ga (0.280, 0.280, 0.058)
Ga (0.330, 0.330, 0.664)
Ga (0.612, 0.612, 0.721)
Ga (0.669, 0.669, 0.339)
Ga (0.943, 0.943, 0.395)


[16]
Entry from the Materials Project: a geometry-optimized MgGa5 structure (PBE-GGA).

total DFT energy (no corrections) = -2.792 eV/atom
spin magnetization = 0.0 μB per formula unit
space-group type = Amm2, No. 38
ΔH_f (0 K) = 0.0 eV/f.u.

Lattice parameters (Å, degrees): 5.005 7.302 7.302 25.25 90.00 90.00
Element x y z (fractional)
Mg (0.000, 0.000, 0.000)
Ga (0.000, 0.331, 0.331)
Ga (0.000, 0.670, 0.670)
Ga (0.500, 0.114, 0.114)
Ga (0.500, 0.444, 0.444)
Ga (0.500, 0.779, 0.779)


[17]
Entry from the Materials Project: a geometry-optimized MgGa structure (PBE-GGA).

total DFT energy (no corrections) = -2.408 eV/atom
space-group type = P-6m2, No. 187
ΔH_f (0 K) = -0.2 eV/f.u.

Lattice parameters (Å, degrees): 3.139 3.139 4.688 90.00 90.00 120.00
Element x y z (fractional)
Mg (0.000, 0.000, 0.000)
Ga (0.667, 0.333, 0.500)


[18]
Entry from the Materials Project: a geometry-optimized MgGa structure (PBE-GGA).

total DFT energy (no corrections) = -1.798 eV/atom
spin magnetization = 0.0 μB per formula unit
space-group type = P6_3mc, No. 186
ΔH_f (0 K) = 1.0 eV/f.u.

Lattice parameters (Å, degrees): 4.469 4.469 7.313 90.00 90.00 120.00
Element x y z (fractional)
Mg (0.333, 0.667, 0.000)
Mg (0.667, 0.333, 0.500)
Ga (0.333, 0.667, 0.375)
Ga (0.667, 0.333, 0.875)


[19]
Entry from the Materials Project: a geometry-optimized MgGa structure (PBE-GGA).

total DFT energy (no corrections) = -2.446 eV/atom
space-group type = P4/mmm, No. 123
ΔH_f (0 K) = -0.3 eV/f.u.

Lattice parameters (Å, degrees): 3.111 3.111 3.983 90.00 90.00 90.00
Element x y z (fractional)
Mg (0.000, 0.000, 0.000)
Ga (0.500, 0.500, 0.500)


[20]
Entry from the Materials Project: a geometry-optimized MgGa structure (PBE-GGA).

total DFT energy (no corrections) = -2.329 eV/atom
spin magnetization = 0.0 μB per formula unit
space-group type = P-6m2, No. 187
ΔH_f (0 K) = 0.0 eV/f.u.

Lattice parameters (Å, degrees): 3.072 3.072 15.320 90.00 90.00 120.00
Element x y z (fractional)
Mg (0.000, 0.000, 0.000)
Mg (0.667, 0.333, 0.174)
Mg (0.667, 0.333, 0.826)
Ga (0.000, 0.000, 0.332)
Ga (0.000, 0.000, 0.668)
Ga (0.667, 0.333, 0.500)